# CsYSe2O6

Crystalline CsYSe2O6 at its relaxed geometry (PBE, the Materials Project).

The structure in extended XYZ format:
```
40
Lattice="8.975 0.000 0.000 0.000 8.975 0.000 0.000 0.000 8.975" Properties=species:S:1:pos:R:3 pbc="T T T"
Cs 0.000 0.000 0.000
Cs 0.000 4.487 4.487
Cs 4.487 0.000 4.487
Cs 4.487 4.487 0.000
Y 0.000 0.000 4.487
Y 0.000 4.487 0.000
Y 4.487 0.000 0.000
Y 4.487 4.487 4.487
Se 2.130 2.130 2.130
Se 2.130 2.357 6.617
Se 2.357 6.617 2.130
Se 2.357 6.845 6.617
Se 6.617 2.130 2.357
Se 6.617 2.357 6.845
Se 6.845 6.617 2.357
Se 6.845 6.845 6.845
O 0.729 1.610 5.933
O 0.729 2.877 1.445
O 1.445 0.729 2.877
O 1.445 3.758 7.364
O 1.610 5.933 0.729
O 1.610 7.529 5.217
O 2.877 1.445 0.729
O 2.877 3.042 5.217
O 3.042 5.217 2.877
O 3.042 8.245 7.364
O 3.758 6.098 5.933
O 3.758 7.364 1.445
O 5.217 1.610 7.529
O 5.217 2.877 3.042
O 5.933 0.729 1.610
O 5.933 3.758 6.098
O 6.098 5.933 3.758
O 6.098 7.529 8.245
O 7.364 1.445 3.758
O 7.364 3.042 8.245
O 7.529 5.217 1.610
O 7.529 8.245 6.098
O 8.245 6.098 7.529
O 8.245 7.364 3.042
```

Calculated values
- spin magnetization (μB/atom) = 0.0000
- energy of formation (eV per atom) = -2.2015
- crystal system = cubic

---

# CsFeCl3

Crystalline CsFeCl3 at its relaxed geometry (PBE, the Materials Project).

The structure in extended XYZ format:
```
10
Lattice="7.500 0.000 0.000 -3.750 6.495 0.000 0.000 0.000 5.849" Properties=species:S:1:pos:R:3 pbc="T T T"
Cs 0.000 4.330 1.462
Cs 3.750 2.165 4.386
Fe 0.000 0.000 0.000
Fe 0.000 0.000 2.924
Cl 0.000 2.008 4.386
Cl -2.011 5.491 4.386
Cl 1.739 1.004 1.462
Cl 2.011 5.491 4.386
Cl 5.761 1.004 1.462
Cl 3.750 4.487 1.462
```

Calculated values
- spin magnetization (μB/atom) = 0.8000
- energy of formation (eV per atom) = -1.6478
- crystal system = hexagonal

---

# Ta7P16O56

Crystalline Ta7P16O56 at its relaxed geometry (PBE, the Materials Project).

The structure in extended XYZ format:
```
79
Lattice="5.918 3.417 9.601 -5.918 3.417 9.601 0.000 -6.834 9.601" Properties=species:S:1:pos:R:3 pbc="T T T"
Ta 0.000 0.000 0.000
Ta -5.918 0.000 14.401
Ta -2.959 1.709 4.800
Ta -2.959 -1.709 9.601
Ta 2.959 1.709 4.800
Ta -2.959 1.709 19.201
Ta 0.000 3.417 9.601
P -4.218 0.999 11.482
P 0.000 0.000 5.620
P -2.974 -3.154 17.320
P -1.320 -2.603 12.551
P 1.244 -4.153 11.482
P 0.000 0.000 8.795
P -2.914 -0.158 16.251
P -1.594 2.445 12.551
P 1.594 -2.445 16.251
P 2.914 0.158 12.551
P 0.000 0.000 20.007
P -1.244 4.153 17.320
P 1.320 2.603 16.251
P 2.974 3.154 11.482
P 0.000 0.000 23.182
P 4.218 -0.999 17.320
O -5.149 1.985 10.759
O -3.787 -0.104 10.522
O -4.932 0.397 12.688
O -2.209 -2.419 11.266
O -0.185 -1.438 5.169
O -4.294 -3.466 18.043
O -2.058 -3.685 13.420
O -2.810 -4.073 16.114
O -1.152 0.879 5.169
O -4.220 -0.060 15.382
O 0.855 -5.452 10.759
O -1.327 -0.579 9.244
O -0.085 -3.502 11.953
O -3.075 -1.677 16.849
O 0.000 0.000 7.206
O -2.990 1.825 11.953
O -0.901 -1.368 13.201
O 1.337 0.559 5.169
O -1.803 -3.332 18.280
O -3.200 0.704 17.536
O 1.984 -3.228 10.522
O 1.165 -0.860 9.244
O 2.122 -4.470 12.688
O 0.162 1.438 9.244
O -1.635 0.096 15.601
O -0.991 3.123 11.266
O -2.162 3.625 13.420
O -0.735 1.464 13.201
O 0.735 -1.464 15.601
O 2.162 -3.625 15.382
O 0.991 -3.123 17.536
O 1.635 -0.096 13.201
O -0.162 -1.438 19.558
O -2.122 4.470 16.114
O -1.165 0.860 19.558
O -1.984 3.228 18.280
O 3.200 -0.704 11.266
O 1.803 3.332 10.522
O -1.337 -0.559 23.633
O 0.901 1.368 15.601
O 2.990 -1.825 16.849
O 0.000 0.000 21.596
O 3.075 1.677 11.953
O 0.085 3.502 16.849
O 1.327 0.579 19.558
O -0.855 5.452 18.043
O 4.220 0.060 13.420
O 1.152 -0.879 23.633
O 2.810 4.073 12.688
O 2.058 3.685 15.382
O 4.294 3.466 10.759
O 0.185 1.438 23.633
O 2.209 2.419 17.536
O 4.932 -0.397 16.114
O 3.787 0.104 18.280
O 5.149 -1.985 18.043
```

Calculated values
- spin magnetization (μB/atom) = 0.0364
- energy of formation (eV per atom) = -2.7867
- crystal system = trigonal

---

# CaMgNiH4

Crystalline CaMgNiH4 at its relaxed geometry (PBE, the Materials Project).

The structure in extended XYZ format:
```
28
Lattice="6.721 0.000 0.000 0.000 6.721 0.000 0.000 0.000 6.721" Properties=species:S:1:pos:R:3 pbc="T T T"
Ca 1.166 2.195 4.527
Ca 2.195 4.527 1.166
Ca 4.527 1.166 2.195
Ca 5.555 5.555 5.555
Mg 1.089 1.089 1.089
Mg 2.272 5.632 4.450
Mg 4.450 2.272 5.632
Mg 5.632 4.450 2.272
Ni 0.317 6.404 3.044
Ni 3.044 0.317 6.404
Ni 3.678 3.678 3.678
Ni 6.404 3.044 0.317
H 0.337 2.931 1.762
H 0.430 4.960 3.698
H 0.603 3.964 6.119
H 1.599 6.384 6.291
H 1.762 0.337 2.931
H 2.758 2.758 2.758
H 2.931 1.762 0.337
H 3.024 3.791 5.122
H 3.698 0.430 4.960
H 3.791 5.122 3.024
H 3.964 6.119 0.603
H 4.960 3.698 0.430
H 5.122 3.024 3.791
H 6.119 0.603 3.964
H 6.291 1.599 6.384
H 6.384 6.291 1.599
```

Calculated values
- spin magnetization (μB/atom) = 0.0001
- piezoelectric modulus e_max (C/m²) = 0.7
- energy of formation (eV per atom) = -0.5057
- crystal system = cubic

---

# CsUCuSe3

Crystalline CsUCuSe3 at its relaxed geometry (PBE, the Materials Project).

The structure in extended XYZ format:
```
12
Lattice="2.073 -8.082 0.000 2.073 8.082 0.000 0.000 0.000 10.727" Properties=species:S:1:pos:R:3 pbc="T T T"
Cs 2.073 4.152 8.045
Cs 2.073 -4.152 2.682
U 2.073 0.000 0.000
U 2.073 0.000 5.363
Cu 2.073 7.578 2.682
Cu 2.073 -7.578 8.045
Se 2.073 6.230 0.637
Se 2.073 6.230 4.727
Se 2.073 0.921 2.682
Se 2.073 -0.921 8.045
Se 2.073 -6.230 6.000
Se 2.073 -6.230 10.090
```

Calculated values
- spin magnetization (μB/atom) = 0.3333
- energy of formation (eV per atom) = -1.3153
- crystal system = orthorhombic

---

# GaBO3

Crystalline GaBO3 at its relaxed geometry (PBE, the Materials Project).

The structure in extended XYZ format:
```
10
Lattice="2.310 1.334 4.807 -2.310 1.334 4.807 0.000 -2.668 4.807" Properties=species:S:1:pos:R:3 pbc="T T T"
Ga 0.000 0.000 0.000
Ga 0.000 0.000 7.211
B 0.000 0.000 3.605
B 0.000 0.000 10.816
O -1.618 -0.135 6.009
O -0.692 -1.469 8.413
O 0.926 -1.334 6.009
O -0.926 1.334 8.413
O 0.692 1.469 6.009
O 1.618 0.135 8.413
```

Calculated values
- energy of formation (eV per atom) = -2.5298
- crystal system = trigonal

---

# Ca2AlH10ClO8

Crystalline Ca2AlH10ClO8 at its relaxed geometry (PBE, the Materials Project).

The structure in extended XYZ format:
```
44
Lattice="8.044 -3.360 0.000 8.044 3.360 0.000 -2.241 0.000 10.718" Properties=species:S:1:pos:R:3 pbc="T T T"
Ca 3.377 1.350 2.058
Ca 2.257 -1.350 7.417
Ca 11.591 1.350 3.301
Ca 10.470 -1.350 8.660
Al 2.901 1.680 5.359
Al 4.022 -1.680 0.000
H -0.034 0.320 8.869
H 5.959 2.335 5.378
H 1.087 -0.320 3.510
H 6.221 1.865 4.846
H 5.259 1.702 9.640
H 6.768 2.335 10.699
H 8.747 1.865 0.513
H 7.468 1.702 6.437
H 5.186 0.760 8.423
H 7.541 0.760 7.654
H 6.306 -0.760 3.064
H 8.662 -0.760 2.295
H 6.380 -1.702 4.281
H 5.100 -1.865 10.204
H 7.080 -2.335 0.019
H 8.588 -1.702 1.078
H 7.626 -1.865 5.872
H 12.761 0.320 7.208
H 7.888 -2.335 5.340
H 13.881 -0.320 1.849
Cl 7.484 0.892 2.679
Cl 6.363 -0.892 8.038
O 0.543 0.721 9.552
O 2.418 0.755 6.739
O 4.761 1.581 8.808
O 2.867 0.174 4.134
O 1.746 -0.174 9.493
O 1.663 -0.721 4.193
O 3.539 -0.755 1.380
O 7.966 1.581 7.269
O 5.882 -1.581 3.449
O 10.308 0.755 9.338
O 12.184 0.721 6.524
O 12.101 0.174 1.224
O 10.980 -0.174 6.583
O 9.086 -1.581 1.910
O 11.429 -0.755 3.979
O 13.305 -0.721 1.166
```

Calculated values
- E above lowest polymorph (kJ per mole of atoms) = 48.2
- spin magnetization (μB/atom) = 0.0000
- energy of formation (eV per atom) = -1.4085
- crystal system = monoclinic

---

# Na3InSn3P6O24

Crystalline Na3InSn3P6O24 at its relaxed geometry (PBE, the Materials Project).

The structure in extended XYZ format:
```
111
Lattice="8.807 0.000 0.000 -4.402 7.659 0.000 -0.008 -0.031 22.861" Properties=species:S:1:pos:R:3 pbc="T T T"
Na 0.000 0.000 0.000
Na -4.344 7.643 11.444
Na -1.153 2.627 13.358
Na 1.238 2.648 1.903
Na 0.030 5.167 3.782
Na 0.060 5.214 15.303
Na 3.254 0.086 5.726
Na 4.431 2.591 19.135
Na 4.465 2.671 7.665
In 0.009 5.218 0.404
In 0.054 5.202 11.878
In 4.475 2.661 4.273
Sn -0.005 0.018 3.423
Sn 0.013 0.055 8.114
Sn 0.045 0.004 14.899
Sn 0.027 0.039 19.521
Sn 0.050 5.120 7.287
Sn 0.027 5.145 18.700
Sn 4.416 2.599 11.028
Sn 4.416 2.596 15.766
Sn 4.448 2.587 22.463
P -1.253 2.292 17.183
P -3.086 5.488 5.803
P -2.579 5.140 20.980
P -1.272 2.894 9.595
P 1.285 2.301 5.767
P 2.612 0.030 17.202
P 1.328 2.879 21.006
P -1.272 7.421 9.552
P 3.150 0.358 1.993
P 1.873 2.581 13.407
P 1.326 7.405 20.984
P 2.639 5.156 9.572
P 5.709 0.375 13.417
P 3.155 4.866 1.943
P 3.131 5.461 17.199
P 6.269 0.036 5.794
P 5.684 4.835 13.397
P 7.028 2.608 1.953
O -3.474 6.405 20.821
O -0.625 1.495 9.422
O -0.637 1.703 15.871
O -3.238 6.398 4.543
O -1.721 4.883 19.711
O -1.059 3.778 8.333
O -1.587 4.924 13.295
O -0.663 3.442 10.890
O -1.785 5.413 22.249
O -0.822 3.808 1.829
O -0.598 3.685 17.323
O 0.680 1.475 20.830
O -2.806 7.579 9.406
O -1.522 5.424 5.925
O 0.671 1.699 4.465
O -2.627 7.434 15.921
O 0.951 1.315 13.532
O 1.572 0.310 2.084
O 1.073 1.383 6.994
O 1.741 0.294 18.445
O -1.094 6.566 10.799
O 0.721 3.417 22.307
O 0.620 3.691 5.903
O -0.908 6.426 17.332
O 0.932 3.797 13.305
O -0.652 6.632 1.861
O 1.109 3.765 19.751
O -0.643 6.828 8.244
O 2.713 2.320 12.135
O 3.325 1.301 0.756
O 2.820 2.389 5.684
O 3.707 0.943 3.306
O 3.488 1.304 17.073
O 2.729 2.816 14.662
O 3.798 1.162 9.670
O 2.874 2.741 21.107
O 1.627 4.980 1.817
O 0.690 6.648 13.316
O 0.675 6.796 19.714
O 1.790 4.895 8.293
O 0.950 6.429 5.917
O 1.598 5.320 17.332
O 1.832 5.424 10.830
O 1.171 6.572 22.250
O 3.311 4.004 3.207
O 5.098 1.026 14.672
O 5.068 1.151 21.103
O 3.522 3.879 9.673
O 5.331 1.255 5.701
O 3.794 4.063 17.065
O 3.808 4.242 0.684
O 5.556 1.286 12.156
O 3.325 6.319 15.921
O 2.705 7.434 4.523
O 3.533 6.414 9.418
O 2.866 7.560 20.822
O 7.127 0.274 7.041
O 3.795 6.081 18.443
O 6.013 2.420 17.062
O 3.832 6.263 2.060
O 5.098 4.099 5.709
O 7.277 0.313 13.539
O 5.048 4.220 12.125
O 6.171 2.341 0.694
O 5.989 2.760 9.684
O 5.344 3.867 21.091
O 5.489 3.930 14.644
O 6.233 2.845 3.232
O 7.773 1.392 18.413
O 5.030 6.232 13.525
O 5.106 6.136 7.049
O 7.946 1.329 2.061
```

Calculated values
- spin magnetization (μB/atom) = 0.0000
- energy of formation (eV per atom) = -2.5183
- crystal system = triclinic

---

# SrMg6V

Crystalline SrMg6V at its relaxed geometry (PBE, the Materials Project).

The structure in extended XYZ format:
```
16
Lattice="-1.025 -2.178 4.667 0.016 -6.086 -2.837 11.154 -0.914 2.024" Properties=species:S:1:pos:R:3 pbc="T T T"
Mg 4.658 -4.797 -1.215
Mg 10.236 -5.550 -0.342
Mg 1.953 -3.202 -1.065
Mg 5.990 -6.163 1.394
Mg 4.651 -2.050 0.065
Mg 0.413 -5.750 0.362
Mg 1.755 -0.144 0.318
Mg 0.405 -2.663 1.800
Mg 7.340 -3.644 -0.088
Mg 5.982 -3.164 2.792
Mg 7.522 -0.616 1.365
Mg 10.227 -2.211 1.215
V 8.817 -1.853 4.026
V 3.249 -4.439 1.596
Sr 8.807 -4.895 2.605
Sr 3.222 -1.395 3.011
```

Calculated values
- E above lowest polymorph (kJ per mole of atoms) = 0.0
- spin magnetization (μB/atom) = 0.4369
- energy of formation (eV per atom) = 0.2508

---

# CsCu2Br3

Crystalline CsCu2Br3 at its relaxed geometry (PBE, the Materials Project).

The structure in extended XYZ format:
```
12
Lattice="5.012 -6.508 0.000 5.012 6.508 0.000 0.000 0.000 5.622" Properties=species:S:1:pos:R:3 pbc="T T T"
Cs 5.012 4.188 4.217
Cs 5.012 -4.188 1.406
Cu 3.491 0.000 0.000
Cu 3.491 0.000 2.811
Cu 6.533 0.000 0.000
Cu 6.533 0.000 2.811
Br 2.196 1.535 4.217
Br 2.196 -1.535 1.406
Br 5.012 1.503 1.406
Br 5.012 -1.503 4.217
Br 7.828 1.535 4.217
Br 7.828 -1.535 1.406
```

Calculated values
- energy of formation (eV per atom) = -1.0651
- crystal system = orthorhombic